No. 1
Computed, not measured: a relaxed structure of SmGaPd2 at the r2SCAN level of DFT.

a = 7.501 Å, b = 7.074 Å, c = 5.664 Å
α = 90.00°, β = 90.00°, γ = 90.00°
Atoms (fractional coordinates):
Sm: 0.033 0.250 0.148
Sm: 0.467 0.750 0.648
Sm: 0.533 0.250 0.352
Sm: 0.967 0.750 0.852
Ga: 0.118 0.750 0.351
Ga: 0.382 0.250 0.851
Ga: 0.618 0.750 0.149
Ga: 0.882 0.250 0.649
Pd: 0.179 0.052 0.588
Pd: 0.179 0.448 0.588
Pd: 0.321 0.552 0.088
Pd: 0.321 0.948 0.088
Pd: 0.679 0.052 0.912
Pd: 0.679 0.448 0.912
Pd: 0.821 0.552 0.412
Pd: 0.821 0.948 0.412

Properties
Space-group type: No. 62
M_tot: 0.00 Bohr magnetons per cell

=====

No. 2
Computed, not measured: a relaxed structure of SmGa2Pd2 at the r2SCAN level of DFT.

a = 4.208 Å, b = 4.208 Å, c = 10.537 Å
α = 90.00°, β = 90.00°, γ = 90.00°
Atoms (fractional coordinates):
Sm: 0.000 0.000 0.000
Sm: 0.500 0.500 0.500
Ga: 0.000 0.000 0.380
Ga: 0.000 0.000 0.620
Ga: 0.500 0.500 0.120
Ga: 0.500 0.500 0.880
Pd: 0.000 0.500 0.250
Pd: 0.000 0.500 0.750
Pd: 0.500 0.000 0.250
Pd: 0.500 0.000 0.750

Properties
Space-group type: No. 139
M_tot: 0.00 Bohr magnetons per cell

=====

No. 3
Computed, not measured: a relaxed structure of TbGaPd2 at the r2SCAN level of DFT.

a = 7.373 Å, b = 7.082 Å, c = 5.589 Å
α = 90.00°, β = 90.00°, γ = 90.00°
Atoms (fractional coordinates):
Tb: 0.031 0.250 0.145
Tb: 0.469 0.750 0.645
Tb: 0.531 0.250 0.355
Tb: 0.969 0.750 0.855
Ga: 0.116 0.750 0.355
Ga: 0.384 0.250 0.855
Ga: 0.616 0.750 0.145
Ga: 0.884 0.250 0.645
Pd: 0.182 0.052 0.588
Pd: 0.182 0.448 0.588
Pd: 0.318 0.552 0.088
Pd: 0.318 0.948 0.088
Pd: 0.682 0.052 0.912
Pd: 0.682 0.448 0.912
Pd: 0.818 0.552 0.412
Pd: 0.818 0.948 0.412

Properties
Space-group type: No. 62
M_tot: 0.00 Bohr magnetons per cell

=====

No. 4
Computed, not measured: a relaxed structure of TbGaPd at the r2SCAN level of DFT.

a = 6.974 Å, b = 4.467 Å, c = 7.550 Å
α = 90.00°, β = 90.00°, γ = 90.00°
Atoms (fractional coordinates):
Tb: 0.018 0.250 0.199
Tb: 0.482 0.750 0.699
Tb: 0.518 0.250 0.301
Tb: 0.982 0.750 0.801
Ga: 0.177 0.250 0.577
Ga: 0.323 0.750 0.077
Ga: 0.677 0.250 0.923
Ga: 0.823 0.750 0.423
Pd: 0.215 0.750 0.405
Pd: 0.285 0.250 0.905
Pd: 0.715 0.750 0.095
Pd: 0.785 0.250 0.595

Properties
Space-group type: No. 62
M_tot: 0.00 Bohr magnetons per cell

=====

No. 5
Computed, not measured: a relaxed structure of TbGa2Pd at the r2SCAN level of DFT.

a = 4.424 Å, b = 10.126 Å, c = 6.559 Å
α = 90.00°, β = 90.00°, γ = 90.00°
Atoms (fractional coordinates):
Tb: 0.000 0.089 0.250
Tb: 0.000 0.911 0.750
Tb: 0.500 0.411 0.750
Tb: 0.500 0.589 0.250
Ga: 0.000 0.373 0.055
Ga: 0.000 0.373 0.445
Ga: 0.000 0.627 0.555
Ga: 0.000 0.627 0.945
Ga: 0.500 0.127 0.555
Ga: 0.500 0.127 0.945
Ga: 0.500 0.873 0.055
Ga: 0.500 0.873 0.445
Pd: 0.000 0.200 0.750
Pd: 0.000 0.800 0.250
Pd: 0.500 0.300 0.250
Pd: 0.500 0.700 0.750

Properties
Space-group type: No. 63
M_tot: 0.00 Bohr magnetons per cell

=====

No. 6
Computed, not measured: a relaxed structure of TiGaPd at the r2SCAN level of DFT.

a = 4.410 Å, b = 4.410 Å, c = 5.383 Å
α = 90.00°, β = 90.00°, γ = 120.00°
Atoms (fractional coordinates):
Ti: 0.000 0.000 0.000
Ti: 0.000 0.000 0.500
Ga: 0.333 0.667 0.250
Ga: 0.667 0.333 0.750
Pd: 0.333 0.667 0.750
Pd: 0.667 0.333 0.250

Properties
Space-group type: No. 194
M_tot: 0.00 Bohr magnetons per cell

=====

Number 1: ΔH_f (0 K) -0.91 eV per atom. Number 2: ΔH_f (0 K) -0.84 eV per atom. Number 3: ΔH_f (0 K) -0.94 eV per atom. Number 4: ΔH_f (0 K) -0.96 eV per atom. Number 5: ΔH_f (0 K) -0.86 eV per atom. Number 6: ΔH_f (0 K) -0.67 eV per atom.